Material: ErSbRh
Method: DFT, GGA-PBE
State: relaxed

```
ErSbRh
1.0
-0.666 2.381 3.768
-6.984 -1.622 -0.210
1.370 -6.461 4.325
Er Sb Rh
4 4 4
direct
0.250 0.513 0.194 Er
0.750 0.487 0.806 Er
0.750 0.987 0.694 Er
0.250 0.013 0.306 Er
0.250 0.683 0.589 Sb
0.750 0.317 0.411 Sb
0.750 0.817 0.089 Sb
0.250 0.183 0.911 Sb
0.250 0.796 0.912 Rh
0.750 0.204 0.088 Rh
0.750 0.704 0.412 Rh
0.250 0.296 0.588 Rh
```

Symmetry   Pnma
Crystal system   orthorhombic
Calculated total energy   -76.1 eV per cell
Formation energy   -0.99 eV/atom